The following is a DFT calculation (r2SCAN) of an optimized crystal structure of La5C2Cl9.

Values from the calculation:
* formation energy from the elements: -2.23 eV/atom
* space group: P-1 (2)
* M_tot: 0.00 μB/f.u.

Cell: 8.690 8.734 12.009 Å, 84.85 85.61 61.32°
Positions (direct):
La: 0.104 0.203 0.007
La: 0.127 0.768 0.271
La: 0.206 0.181 0.493
La: 0.233 0.420 0.742
La: 0.391 0.901 0.783
La: 0.609 0.099 0.217
La: 0.767 0.580 0.258
La: 0.794 0.819 0.507
La: 0.873 0.232 0.729
La: 0.896 0.797 0.993
C: 0.144 0.195 0.812
C: 0.174 0.185 0.689
C: 0.826 0.815 0.311
C: 0.856 0.805 0.188
Cl: 0.000 0.000 0.500
Cl: 0.081 0.837 0.769
Cl: 0.158 0.373 0.257
Cl: 0.174 0.552 0.506
Cl: 0.215 0.831 0.032
Cl: 0.220 0.460 0.978
Cl: 0.392 0.917 0.276
Cl: 0.459 0.824 0.551
Cl: 0.487 0.487 0.231
Cl: 0.500 0.000 0.000
Cl: 0.513 0.513 0.769
Cl: 0.541 0.176 0.449
Cl: 0.608 0.083 0.724
Cl: 0.780 0.540 0.022
Cl: 0.785 0.169 0.968
Cl: 0.826 0.448 0.494
Cl: 0.842 0.627 0.743
Cl: 0.919 0.163 0.231